Computed, not measured: an optimized crystal structure of Cs2Li14Tb3O14 at the PBE-GGA level of DFT.

Results
E_tot in eV per cell: -179.0
SG: Immm, No. 71
Size of the total moment in μB/f.u.: 3.000
E_form in eV/atom: -2.33

Cell: 8.672 8.672 8.672 Å, 128.80 123.36 79.83°
Element x y z (fractional)
Cs 0.000 0.234 0.234
Cs 0.000 0.766 0.766
Li 0.084 0.232 0.852
Li 0.213 0.141 0.620
Li 0.213 0.593 0.072
Li 0.345 0.500 0.845
Li 0.380 0.232 0.148
Li 0.479 0.407 0.620
Li 0.479 0.859 0.072
Li 0.521 0.141 0.928
Li 0.521 0.593 0.380
Li 0.620 0.768 0.852
Li 0.655 0.500 0.155
Li 0.787 0.407 0.928
Li 0.787 0.859 0.380
Li 0.916 0.768 0.148
Tb 0.232 0.732 0.500
Tb 0.500 0.000 0.500
Tb 0.768 0.268 0.500
O 0.092 0.370 0.722
O 0.186 0.869 0.317
O 0.254 0.052 0.799
O 0.254 0.455 0.201
O 0.351 0.630 0.722
O 0.448 0.131 0.317
O 0.500 0.298 0.798
O 0.500 0.702 0.202
O 0.552 0.869 0.683
O 0.649 0.370 0.278
O 0.746 0.545 0.799
O 0.746 0.948 0.201
O 0.814 0.131 0.683
O 0.908 0.630 0.278